Material: NiBi
Method: DFT, r²SCAN
State: relaxed

Properties
As for the spin magnetization: 0.00 μB per formula unit. For the energy, the calculation gives -35.22 eV per atom. The calculation puts the volume at 19.25 A^3/atom.

abc: 4.1178 4.1181 5.2438
angles: 90.00 90.00 120.00
Last column: nearest neighbours and their distance in Å.
Fractional positions:
Ni (0.0000, 0.0000, 0.5000)  2 Ni 2.62, 6 Bi 2.71-2.72
Ni (0.0000, 0.0000, 0.0000)  2 Ni 2.62, 6 Bi 2.71-2.72
Bi (0.3333, 0.6666, 0.2500)  6 Ni 2.71-2.72
Bi (0.6667, 0.3334, 0.7500)  6 Ni 2.71-2.72